Computed, not measured: a geometry-optimized Ce2C2Cl structure at the r2SCAN level of DFT.

Cell and atoms, written as POSCAR:
```
Ce2C2Cl
1.0
7.319 -2.068 0.000
7.319 2.068 0.000
-1.262 0.000 6.478
Ce C Cl
4 4 2
Direct
0.042 0.658 0.849
0.342 0.958 0.651
0.658 0.042 0.349
0.958 0.342 0.151
0.146 0.411 0.472
0.411 0.146 0.972
0.589 0.854 0.028
0.854 0.589 0.528
0.295 0.705 0.250
0.705 0.295 0.750
```

As for the energy of formation: -1110.1 meV/atom. Its total moment is 1.73 μB/f.u. The calculated total energy is -18.66 eV/atom.